Below is a geometry-optimized MgCo5P8O28 structure, with properties calculated at the GGA+U level.

## Properties
Symmetry: P1 (1)
E (MP2020) (eV per cell): -312.7
V (Å³ per atom): 13.5
Offset from the most stable computed form (meV/atom): 20.7

a = 7.4177 Å, b = 7.8638 Å, c = 10.2342 Å
α = 72.54°, β = 86.38°, γ = 85.68°
Sites, in units of the cell vectors:
1 Mg 0.0000 0.0000 0.0000
2 Co 0.1017 0.6787 0.3506
3 Co 0.1097 0.6928 0.7838
4 Co 0.3394 0.0484 0.7390
5 Co 0.5823 0.3957 0.6667
6 Co 0.5928 0.4116 0.1495
7 P 0.1473 0.9911 0.4838
8 P 0.3197 0.7925 0.0544
9 P 0.3694 0.3038 0.4278
10 P 0.5589 0.1074 0.9851
11 P 0.6789 0.7556 0.7111
12 P 0.6828 0.7300 0.4264
13 P 0.9842 0.3431 0.7483
14 P 0.9845 0.3727 0.0215
15 O 0.0454 0.1809 0.0916
16 O 0.0943 0.5044 0.6825
17 O 0.0987 0.1633 0.7963
18 O 0.1302 0.5047 0.9682
19 O 0.1456 0.7877 0.1479
20 O 0.1941 0.9179 0.6409
21 O 0.1978 0.8326 0.4250
22 O 0.2189 0.4459 0.3832
23 O 0.2424 0.8486 0.9078
24 O 0.3135 0.1183 0.4170
25 O 0.4125 0.9651 0.0624
26 O 0.4129 0.2652 0.5827
27 O 0.4507 0.6324 0.0907
28 O 0.4869 0.1917 0.8369
29 O 0.5384 0.2467 0.0618
30 O 0.5426 0.3396 0.3359
31 O 0.5478 0.9148 0.7175
32 O 0.5567 0.5767 0.4925
33 O 0.5743 0.5821 0.7561
34 O 0.6065 0.8845 0.3177
35 O 0.7405 0.0086 0.9856
36 O 0.7485 0.7892 0.5548
37 O 0.8257 0.3217 0.6637
38 O 0.8328 0.4483 0.1030
39 O 0.8428 0.7533 0.7921
40 O 0.8597 0.6480 0.3712
41 O 0.8806 0.3641 0.8858
42 O 0.9700 0.0890 0.4549